# Li3TlF6 (PBE, optimized geometry)
# - spin magnetization (μB per cell) = 0.0
# - ρ (g cm⁻³) = 4.0
# - electronic total energy (eV per cell) = -165.95
data_Li3TlF6
_symmetry_space_group_name_H-M 'F m -3 m'
_symmetry_Int_Tables_number 225
_symmetry_space_group_name_Hall '-F 4 2 3'
_cell_length_a 8.282
_cell_length_b 8.282
_cell_length_c 8.282
_cell_angle_alpha 90.00
_cell_angle_beta 90.00
_cell_angle_gamma 90.00
loop_
_atom_site_label
_atom_site_fract_x
_atom_site_fract_y
_atom_site_fract_z
Li1 0.000 0.000 0.000
Li2 0.250 0.250 0.250
Tl1 0.000 0.000 0.500
F1 0.000 0.000 0.239